Material: EuIrO3
Method: DFT, PBE
State: relaxed

Calculated values
Total DFT energy (no corrections) (eV per formula unit): -41.38
ΔE_f (eV per atom): -1.900

abc: 4.0105 4.0105 4.0105
angles: 90.00 90.00 90.00
Last column: nearest neighbours and their distance in Å.
Atoms (fractional coordinates):
Eu 0.0000 0.0000 0.0000  12 O 2.84
Ir 0.5000 0.5000 0.5000  6 O 2.01
O 0.0000 0.5000 0.5000  2 Ir 2.01
O 0.5000 0.0000 0.5000  2 Ir 2.01
O 0.5000 0.5000 0.0000  2 Ir 2.01